# 1
The following is a PBE-GGA calculation of an optimized crystal structure of NbVSi4, from Materials Project.

The calculation puts the volume at 249.8 Å³ per cell. Its size of the total moment is 0.0 μB/f.u. As for the MP2020-corrected energy: -7.258 eV per atom. The value obtained for the energy of formation from the pure elements is -443 meV per atom.

The structure belongs to space group P2 (No. 3); the cell edges are 4.690, 13.017 and 4.710 Å and the angles 90.00°, 119.67° and 90.00°. Symmetry generates all atoms from Nb at (0.000, 0.000, 0.000), Nb at (0.000, 0.497, 0.000), Nb at (0.500, 0.664, 0.000), V at (0.000, 0.330, 0.500), V at (0.000, 0.833, 0.500), V at (0.500, 0.164, 0.000), Si at (0.176, 0.668, 0.343), Si at (0.179, 0.168, 0.346), Si at (0.334, 0.494, 0.656), Si at (0.336, 0.999, 0.663), Si at (0.342, 0.833, 0.184) and Si at (0.345, 0.327, 0.177).

---

# 2
The following is a PBE-GGA calculation of an optimized crystal structure of NbVSi, from Materials Project.

The calculation puts the volume at 350.4 Å³ per cell. Its size of the total moment is 0.0 μB/f.u. As for the MP2020-corrected energy: -8.590 eV per atom. The value obtained for the energy of formation from the pure elements is -386 meV per atom.

The structure belongs to space group Amm2 (No. 38); the cell edges are 8.306, 4.989 and 8.457 Å and the angles 90.00°, 90.00° and 90.00°. Symmetry generates all atoms from Nb at (0.186, 0.000, 0.000), Nb at (0.308, 0.000, 0.328), V at (0.000, 0.000, 0.504), V at (0.500, 0.000, 0.831), V at (0.500, 0.243, 0.075), Si at (0.000, 0.243, 0.256) and Si at (0.254, 0.000, 0.659).

---

# 3
The following is a PBE-GGA calculation of an optimized crystal structure of Nb2V4Si5, from Materials Project.

The calculation puts the volume at 637.8 Å³ per cell. Its size of the total moment is 0.4 μB/f.u. As for the MP2020-corrected energy: -7.978 eV per atom. The value obtained for the energy of formation from the pure elements is -372 meV per atom.

The structure belongs to space group Ibam (No. 72); the cell edges are 7.575, 16.401 and 5.134 Å and the angles 90.00°, 90.00° and 90.00°. Symmetry generates all atoms from Nb at (0.000, 0.189, 0.250), V at (0.116, 0.359, 0.000), V at (0.249, 0.064, 0.000), Si at (0.000, 0.500, 0.250), Si at (0.093, 0.060, 0.500) and Si at (0.195, 0.292, 0.500).

---

Q: What is the energy of formation from the pure elements in the second record?
A: -386 meV per atom